# 1
! KCa10V7O28, optimized geometry, DFT GGA+U; values from VASP
! E (MP2020) ... -721.70 eV for the cell shown
! Density ... 3.08 g/cm3
! Total magnetization ... 0.002 μB per atom
&SYSTEM
  ibrav = 0, nat = 92, ntyp = 4
/
ATOMIC_SPECIES
K 39.10 K.upf
Ca 40.08 Ca.upf
V 50.94 V.upf
O 16.00 O.upf
CELL_PARAMETERS angstrom
13.129 -5.513 0.000
13.129 5.513 0.000
10.814 0.000 9.263
ATOMIC_POSITIONS crystal
K 0.297 0.297 0.297
K 0.797 0.797 0.797
Ca 0.480 0.480 0.480
Ca 0.637 0.075 0.027
Ca 0.911 0.324 0.915
Ca 0.027 0.637 0.075
Ca 0.915 0.911 0.324
Ca 0.419 0.002 0.045
Ca 0.824 0.411 0.415
Ca 0.411 0.415 0.824
Ca 0.075 0.027 0.637
Ca 0.324 0.915 0.911
Ca 0.980 0.980 0.980
Ca 0.575 0.137 0.527
Ca 0.527 0.575 0.137
Ca 0.137 0.527 0.575
Ca 0.919 0.545 0.502
Ca 0.002 0.045 0.419
Ca 0.502 0.919 0.545
Ca 0.415 0.824 0.411
Ca 0.045 0.419 0.002
Ca 0.545 0.502 0.919
V 0.670 0.711 0.158
V 0.211 0.170 0.658
V 0.302 0.248 0.797
V 0.158 0.670 0.711
V 0.748 0.802 0.297
V 0.802 0.297 0.748
V 0.797 0.302 0.248
V 0.712 0.712 0.712
V 0.248 0.797 0.302
V 0.658 0.211 0.170
V 0.170 0.658 0.211
V 0.297 0.748 0.802
V 0.711 0.158 0.670
V 0.212 0.212 0.212
O 0.621 0.360 0.803
O 0.072 0.857 0.642
O 0.083 0.601 0.725
O 0.104 0.116 0.843
O 0.062 0.850 0.404
O 0.882 0.579 0.715
O 0.166 0.166 0.166
O 0.108 0.832 0.871
O 0.101 0.583 0.225
O 0.583 0.225 0.101
O 0.843 0.104 0.116
O 0.357 0.572 0.142
O 0.642 0.072 0.857
O 0.604 0.343 0.616
O 0.367 0.800 0.812
O 0.332 0.608 0.371
O 0.648 0.385 0.077
O 0.385 0.077 0.648
O 0.860 0.121 0.303
O 0.666 0.666 0.666
O 0.601 0.725 0.083
O 0.371 0.332 0.608
O 0.715 0.882 0.579
O 0.360 0.803 0.621
O 0.850 0.404 0.062
O 0.725 0.083 0.601
O 0.121 0.303 0.860
O 0.803 0.621 0.360
O 0.579 0.715 0.882
O 0.350 0.562 0.904
O 0.382 0.215 0.079
O 0.832 0.871 0.108
O 0.800 0.812 0.367
O 0.608 0.371 0.332
O 0.867 0.312 0.300
O 0.812 0.367 0.800
O 0.142 0.357 0.572
O 0.343 0.616 0.604
O 0.404 0.062 0.850
O 0.148 0.577 0.885
O 0.616 0.604 0.343
O 0.885 0.148 0.577
O 0.857 0.642 0.072
O 0.562 0.904 0.350
O 0.577 0.885 0.148
O 0.215 0.079 0.382
O 0.303 0.860 0.121
O 0.300 0.867 0.312
O 0.225 0.101 0.583
O 0.871 0.108 0.832
O 0.312 0.300 0.867
O 0.079 0.382 0.215
O 0.077 0.648 0.385
O 0.116 0.843 0.104
O 0.572 0.142 0.357
O 0.904 0.350 0.562

# 2
! K4CaW3O12, optimized geometry, DFT GGA+U; values from VASP
! E (MP2020) ... -151.64 eV for the cell shown
! Density ... 5.65 g/cm3
! Total magnetization ... 0.000 μB per atom
&SYSTEM
  ibrav = 0, nat = 20, ntyp = 4
/
ATOMIC_SPECIES
K 39.10 K.upf
Ca 40.08 Ca.upf
W 183.84 W.upf
O 16.00 O.upf
CELL_PARAMETERS angstrom
-4.103 4.103 4.103
4.103 -4.103 4.103
4.103 4.103 -4.103
ATOMIC_POSITIONS crystal
K 0.000 0.500 0.000
K 0.500 0.000 0.000
K 0.000 0.000 0.500
K 0.500 0.500 0.500
Ca 0.000 0.000 0.000
W 0.500 0.000 0.500
W 0.000 0.500 0.500
W 0.500 0.500 0.000
O 0.250 0.750 0.500
O 0.750 0.500 0.250
O 0.250 0.500 0.750
O 0.500 0.750 0.250
O 0.500 0.250 0.750
O 0.750 0.250 0.500
O 0.726 0.726 0.000
O 0.274 0.000 0.274
O 0.274 0.274 0.000
O 0.000 0.274 0.274
O 0.000 0.726 0.726
O 0.726 0.000 0.726

# 3
! NaCa2La7Mn10O30, optimized geometry, DFT GGA+U; values from VASP
! E (MP2020) ... -837.07 eV for the cell shown
! Density ... 5.84 g/cm3
! Total magnetization ... 0.720 μB per atom
&SYSTEM
  ibrav = 0, nat = 100, ntyp = 5
/
ATOMIC_SPECIES
Na 22.99 Na.upf
Ca 40.08 Ca.upf
La 138.91 La.upf
Mn 54.94 Mn.upf
O 16.00 O.upf
CELL_PARAMETERS angstrom
0.844 -2.583 4.770
4.513 -3.076 0.615
40.213 17.512 33.376
ATOMIC_POSITIONS crystal
Na 0.246 0.248 0.626
Na 0.246 0.251 0.725
Ca 0.748 0.743 0.477
Ca 0.757 0.756 0.772
Ca 0.753 0.754 0.873
Ca 0.754 0.753 0.973
La 0.260 0.257 0.022
La 0.253 0.253 0.124
La 0.250 0.251 0.225
La 0.754 0.755 0.073
La 0.248 0.248 0.326
La 0.751 0.751 0.174
La 0.242 0.240 0.428
La 0.749 0.749 0.275
La 0.250 0.244 0.527
La 0.745 0.747 0.377
La 0.735 0.741 0.579
La 0.257 0.252 0.823
La 0.751 0.749 0.676
La 0.254 0.254 0.923
Mn 0.005 0.006 0.998
Mn 0.002 0.003 0.099
Mn 0.000 0.001 0.200
Mn 0.506 0.503 0.049
Mn 0.501 0.501 0.150
Mn 0.999 0.999 0.300
Mn 0.997 0.994 0.401
Mn 0.499 0.500 0.250
Mn 0.000 0.997 0.501
Mn 0.497 0.498 0.351
Mn 0.494 0.495 0.451
Mn 0.994 0.992 0.602
Mn 0.495 0.499 0.551
Mn 0.006 0.006 0.798
Mn 0.500 0.491 0.651
Mn 0.503 0.503 0.749
Mn 0.000 0.995 0.701
Mn 0.001 0.004 0.899
Mn 0.503 0.502 0.849
Mn 0.503 0.503 0.949
O 0.186 0.752 0.031
O 0.316 0.189 0.075
O 0.251 0.685 0.081
O 0.754 0.313 0.018
O 0.186 0.749 0.132
O 0.689 0.814 0.026
O 0.318 0.184 0.175
O 0.814 0.253 0.068
O 0.248 0.685 0.182
O 0.753 0.314 0.118
O 0.185 0.748 0.232
O 0.685 0.815 0.125
O 0.316 0.183 0.275
O 0.815 0.253 0.168
O 0.246 0.685 0.282
O 0.752 0.315 0.218
O 0.186 0.748 0.332
O 0.683 0.816 0.225
O 0.311 0.183 0.375
O 0.816 0.252 0.268
O 0.246 0.686 0.382
O 0.752 0.314 0.318
O 0.185 0.748 0.432
O 0.685 0.815 0.325
O 0.316 0.177 0.475
O 0.816 0.248 0.369
O 0.249 0.690 0.481
O 0.749 0.314 0.419
O 0.183 0.748 0.532
O 0.686 0.812 0.424
O 0.308 0.194 0.572
O 0.811 0.245 0.470
O 0.247 0.708 0.580
O 0.747 0.316 0.519
O 0.194 0.754 0.630
O 0.687 0.808 0.525
O 0.312 0.188 0.675
O 0.809 0.253 0.569
O 0.250 0.689 0.681
O 0.753 0.304 0.619
O 0.188 0.746 0.731
O 0.691 0.810 0.624
O 0.317 0.179 0.778
O 0.810 0.252 0.669
O 0.250 0.689 0.781
O 0.746 0.313 0.719
O 0.185 0.746 0.832
O 0.685 0.813 0.724
O 0.320 0.183 0.876
O 0.800 0.250 0.770
O 0.250 0.689 0.881
O 0.750 0.319 0.818
O 0.182 0.754 0.931
O 0.690 0.809 0.826
O 0.322 0.183 0.975
O 0.810 0.251 0.869
O 0.253 0.688 0.980
O 0.751 0.320 0.918
O 0.689 0.816 0.925
O 0.811 0.251 0.969

# 4
! Ca2LaNdMn4O12, optimized geometry, DFT GGA+U; values from VASP
! E (MP2020) ... -164.98 eV for the cell shown
! Density ... 5.56 g/cm3
! Total magnetization ... 0.700 μB per atom
&SYSTEM
  ibrav = 0, nat = 20, ntyp = 5
/
ATOMIC_SPECIES
Ca 40.08 Ca.upf
La 138.91 La.upf
Nd 144.24 Nd.upf
Mn 54.94 Mn.upf
O 16.00 O.upf
CELL_PARAMETERS angstrom
7.691 0.000 0.000
0.000 5.481 0.000
0.000 0.010 5.495
ATOMIC_POSITIONS crystal
Ca 0.500 0.494 0.534
Ca 0.000 0.994 0.967
La 0.000 0.507 0.473
Nd 0.500 0.007 0.035
Mn 0.251 0.000 0.501
Mn 0.749 0.500 0.999
Mn 0.749 0.000 0.501
Mn 0.251 0.500 0.999
O 0.212 0.786 0.214
O 0.785 0.717 0.717
O 0.711 0.216 0.784
O 0.292 0.283 0.283
O 0.289 0.216 0.784
O 0.708 0.283 0.283
O 0.788 0.786 0.214
O 0.215 0.717 0.717
O 0.500 0.924 0.482
O 0.500 0.576 0.984
O 0.000 0.068 0.516
O 0.000 0.425 0.012